# 1
# PBE HoSi, relaxed
data_HoSi
_symmetry_space_group_name_H-M 'C m c m'
_symmetry_Int_Tables_number 63
_symmetry_space_group_name_Hall '-C 2c 2'
_cell_length_a 4.2607
_cell_length_b 10.4860
_cell_length_c 3.8191
_cell_angle_alpha 90.00
_cell_angle_beta 90.00
_cell_angle_gamma 90.00
loop_
_atom_site_label
_atom_site_fract_x
_atom_site_fract_y
_atom_site_fract_z
_atom_site_occupancy
Ho1 0.0000 0.1402 0.2500 1
Si1 0.0000 0.4232 0.2500 1
# Energy of formation: -153 kJ/mol of formula units
# Crystal system: orthorhombic
# MP2020-corrected energy: -46.37 eV/cell



# 2
# PBE HoSi, relaxed
data_HoSi
_symmetry_space_group_name_H-M 'P n m a'
_symmetry_Int_Tables_number 62
_cell_length_a 7.8712
_cell_length_b 3.8203
_cell_length_c 5.6680
_cell_angle_alpha 90.00
_cell_angle_beta 90.00
_cell_angle_gamma 90.00
loop_
_symmetry_equiv_pos_as_xyz
'x,y,z'
'-x,-y,-z'
'-x+1/2,-y,z+1/2'
'x+1/2,y,-z+1/2'
'x+1/2,-y+1/2,-z+1/2'
'-x+1/2,y+1/2,z+1/2'
'-x,y+1/2,-z'
'x,-y+1/2,z'
loop_
_atom_site_label
_atom_site_fract_x
_atom_site_fract_y
_atom_site_fract_z
_atom_site_occupancy
Ho1 0.1793 0.2500 0.1148 1
Si1 0.0383 0.2500 0.6303 1
# Energy of formation: -152 kJ/mol of formula units
# Crystal system: orthorhombic
# MP2020-corrected energy: -46.34 eV/cell



# 3
# PBE HoSi2, relaxed
data_HoSi2
_symmetry_space_group_name_H-M 'P 6/m m m'
_symmetry_Int_Tables_number 191
_symmetry_space_group_name_Hall '-P 6 2'
_cell_length_a 4.0843
_cell_length_b 4.0843
_cell_length_c 3.9179
_cell_angle_alpha 90.00
_cell_angle_beta 90.00
_cell_angle_gamma 120.00
loop_
_atom_site_label
_atom_site_fract_x
_atom_site_fract_y
_atom_site_fract_z
_atom_site_occupancy
Ho1 0.0000 0.0000 0.0000 1
Si1 0.3333 0.6667 0.5000 1
# Energy of formation: -133 kJ/mol of formula units
# Crystal system: hexagonal
# MP2020-corrected energy: -16.81 eV/cell



What did the second record say?
# PBE HoSi, relaxed
data_HoSi
_symmetry_space_group_name_H-M 'P n m a'
_symmetry_Int_Tables_number 62
_cell_length_a 7.8712
_cell_length_b 3.8203
_cell_length_c 5.6680
_cell_angle_alpha 90.00
_cell_angle_beta 90.00
_cell_angle_gamma 90.00
loop_
_symmetry_equiv_pos_as_xyz
'x,y,z'
'-x,-y,-z'
'-x+1/2,-y,z+1/2'
'x+1/2,y,-z+1/2'
'x+1/2,-y+1/2,-z+1/2'
'-x+1/2,y+1/2,z+1/2'
'-x,y+1/2,-z'
'x,-y+1/2,z'
loop_
_atom_site_label
_atom_site_fract_x
_atom_site_fract_y
_atom_site_fract_z
_atom_site_occupancy
Ho1 0.1793 0.2500 0.1148 1
Si1 0.0383 0.2500 0.6303 1
# Energy of formation: -152 kJ/mol of formula units
# Crystal system: orthorhombic
# MP2020-corrected energy: -46.34 eV/cell



Copy entry 2 word for word.
# PBE HoSi, relaxed
data_HoSi
_symmetry_space_group_name_H-M 'P n m a'
_symmetry_Int_Tables_number 62
_cell_length_a 7.8712
_cell_length_b 3.8203
_cell_length_c 5.6680
_cell_angle_alpha 90.00
_cell_angle_beta 90.00
_cell_angle_gamma 90.00
loop_
_symmetry_equiv_pos_as_xyz
'x,y,z'
'-x,-y,-z'
'-x+1/2,-y,z+1/2'
'x+1/2,y,-z+1/2'
'x+1/2,-y+1/2,-z+1/2'
'-x+1/2,y+1/2,z+1/2'
'-x,y+1/2,-z'
'x,-y+1/2,z'
loop_
_atom_site_label
_atom_site_fract_x
_atom_site_fract_y
_atom_site_fract_z
_atom_site_occupancy
Ho1 0.1793 0.2500 0.1148 1
Si1 0.0383 0.2500 0.6303 1
# Energy of formation: -152 kJ/mol of formula units
# Crystal system: orthorhombic
# MP2020-corrected energy: -46.34 eV/cell



> Which value of MP2020-corrected energy does entry 2 give?

-46.34 eV/cell



> Among the records above, which one has the highest energy of formation?

HoSi2